{
  "formula": "H",
  "functional": "r²SCAN",
  "state": "optimized geometry",
  "lattice": [[-1.925, -1.960, -2.325], [-0.320, -0.652, 3.525], [-1.187, 3.371, -0.428]],
  "species": ["H", "H"],
  "fractional_positions": [[0.898, 0.898, 0.000], [0.102, 0.102, 0.000]],
  "volume_a3_per_atom": 17.56,
  "e_form_mev_per_atom": 2,
  "dft_energy_ev_per_atom": -3.4532,
  "de_polymorph_ev_per_atom": 0.002
}